First-principles (PBE) data for LuSbPd2 after structural relaxation, as listed in Materials Project.

abc: 4.7735 4.7735 4.7735
angles: 60.00 60.00 60.00
Fractional coordinates of all 4 atoms:
Lu 0.5000 0.5000 0.5000
Sb 0.0000 0.0000 0.0000
Pd 0.2500 0.2500 0.2500
Pd 0.7500 0.7500 0.7500

DFT formation energy = -335 kJ/mol of formula units
Symmetry = Fm-3m, No. 225